Entry 1:
Material: GdS2
Method: DFT, PBE
State: optimized geometry

Cell lengths 3.8944, 3.8944, 8.0368 Å; angles 90.00, 90.00, 90.00 degrees
With the nearest neighbours (Å) after each atom.
Element x y z (fractional)
Gd: 0.2500 0.2500 0.2260  9 S 2.85-2.94
Gd: 0.7500 0.7500 0.7740  9 S 2.85-2.94
S: 0.2500 0.2500 0.8667  5 Gd 2.85-2.89
S: 0.2500 0.7500 0.5000  4 S 2.75, 4 Gd 2.94
S: 0.7500 0.2500 0.5000  4 S 2.75, 4 Gd 2.94
S: 0.7500 0.7500 0.1333  5 Gd 2.85-2.89

* energy of formation: -2.01 eV per atom
* total energy after the MP2020 corrections: -9.4601 eV/atom



Entry 2:
Material: ScAl3
Method: DFT, PBE
State: optimized geometry

Cell lengths 4.0256, 4.0256, 8.8464 Å; angles 90.00, 90.00, 90.00 degrees
With the nearest neighbours (Å) after each atom.
Element x y z (fractional)
Sc: 0.0000 0.0000 0.0000  12 Al 2.85-2.99
Sc: 0.5000 0.5000 0.5000  12 Al 2.85-2.99
Al: 0.0000 0.0000 0.5000  4 Sc 2.85, 8 Al 2.99
Al: 0.0000 0.5000 0.2500  8 Al 2.85-2.99, 4 Sc 2.99
Al: 0.0000 0.5000 0.7500  8 Al 2.85-2.99, 4 Sc 2.99
Al: 0.5000 0.0000 0.2500  8 Al 2.85-2.99, 4 Sc 2.99
Al: 0.5000 0.0000 0.7500  8 Al 2.85-2.99, 4 Sc 2.99
Al: 0.5000 0.5000 0.0000  4 Sc 2.85, 8 Al 2.99

* energy of formation: -0.36 eV per atom



Entry 3:
Material: Al4C3
Method: DFT, PBE
State: optimized geometry

Cell lengths 4.4895, 4.5308, 5.0294 Å; angles 90.76, 111.75, 119.17 degrees
With the nearest neighbours (Å) after each atom.
Element x y z (fractional)
Al: 0.0000 0.0000 0.0000  2 C 2.03-2.08
Al: 0.1045 0.5382 0.6530  3 C 2.10-2.19
Al: 0.5482 0.7616 0.3316  3 C 2.11-2.33
Al: 0.6848 0.3397 0.0204  3 C 2.04-2.21
C: 0.1184 0.0134 0.6472  1 C 1.51
C: 0.4003 0.3075 0.5692  2 C 1.51
C: 0.5295 0.2223 0.3572  1 C 1.51

* energy of formation: 0.49 eV per atom



Entry 4:
Material: LaH4S2NO8
Method: DFT, PBE
State: optimized geometry

Cell lengths 7.1701, 5.5497, 9.3553 Å; angles 90.00, 98.55, 90.00 degrees
With the nearest neighbours (Å) after each atom.
Element x y z (fractional)
La: 0.1978 0.2500 0.2761  7 O 2.42-2.57
La: 0.8022 0.7500 0.7239  7 O 2.42-2.57
H: 0.1700 0.2500 0.8026  1 N 1.05
H: 0.3427 0.2500 0.6958  1 N 1.03
H: 0.3762 0.1004 0.8535  1 N 1.03
H: 0.3762 0.3996 0.8535  1 N 1.03
H: 0.6238 0.6004 0.1465  1 N 1.03
H: 0.6238 0.8996 0.1465  1 N 1.03
H: 0.6573 0.7500 0.3042  1 N 1.03
H: 0.8300 0.7500 0.1974  1 N 1.05
S: 0.1887 0.7500 0.0732  4 O 1.47-1.51
S: 0.2761 0.7500 0.5659  4 O 1.49
S: 0.7239 0.2500 0.4341  4 O 1.49
S: 0.8113 0.2500 0.9268  4 O 1.47-1.51
N: 0.3154 0.2500 0.8006  4 H 1.03-1.05
N: 0.6846 0.7500 0.1994  4 H 1.03-1.05
O: 0.0656 0.7500 0.9325  1 S 1.47
O: 0.0775 0.7500 0.1975  1 S 1.51
O: 0.0998 0.7500 0.6315  1 S 1.49
O: 0.2818 0.5294 0.4767  1 S 1.49
O: 0.2818 0.9706 0.4767  1 S 1.49
O: 0.3101 0.5296 0.0875  1 S 1.50
O: 0.3101 0.9704 0.0875  1 S 1.50
O: 0.4405 0.7500 0.6837  1 S 1.49
O: 0.5595 0.2500 0.3163  1 S 1.49
O: 0.6899 0.0296 0.9125  1 S 1.50
O: 0.6899 0.4704 0.9125  1 S 1.50
O: 0.7182 0.0294 0.5233  1 S 1.49
O: 0.7182 0.4706 0.5233  1 S 1.49
O: 0.9002 0.2500 0.3685  1 S 1.49
O: 0.9225 0.2500 0.8025  1 S 1.51
O: 0.9344 0.2500 0.0675  1 S 1.47

* energy of formation: -1.91 eV per atom
* total energy after the MP2020 corrections: -6.5767 eV/atom



Quick rundown of calculated density, same order as above: 6.0 2.9 3.0 3.1 g/cm3
Quick rundown of electronic total energy, same order as above: -9.1247 -4.7540 -5.6014 -6.2332 eV/atom